[1]
Compound: CsRb2SbF6
Source: the Materials Project
Functional: PBE-GGA
Structure: relaxed

Calculated values
DFT total energy: -174.8 eV/cell
energy of formation: -2.80 eV/atom

abc: 10.032 10.032 10.032
angles: 90.00 90.00 90.00
Space group Fm-3m (No. 225)
Symmetry-distinct sites (fractional):
Cs (0.000, 0.000, 0.000) x4
Rb (0.250, 0.250, 0.250) x8
Sb (0.000, 0.000, 0.500) x4
F (0.000, 0.000, 0.280) x24

---

[2]
Compound: Ca2Nb10Si9S9O72
Source: the Materials Project
Functional: PBE-GGA
Structure: relaxed

Calculated values
DFT total energy: -769.8 eV/cell
energy of formation: -2.67 eV/atom

abc: 8.944 8.975 23.048
angles: 89.78 89.88 60.19
Space group P1 (No. 1)
Symmetry-distinct sites (fractional):
Ca (0.000, 0.000, 0.000) x1
Ca (0.015, 0.994, 0.502) x1
Nb (0.026, 0.989, 0.721) x1
Nb (0.343, 0.322, 0.377) x1
Nb (0.345, 0.314, 0.677) x1
Nb (0.351, 0.318, 0.172) x1
Nb (0.355, 0.323, 0.881) x1
Nb (0.672, 0.663, 0.552) x1
Nb (0.676, 0.657, 0.047) x1
Nb (0.677, 0.659, 0.330) x1
Nb (0.678, 0.648, 0.831) x1
Nb (0.999, 0.988, 0.217) x1
Si (0.062, 0.324, 0.779) x1
Si (0.063, 0.607, 0.275) x1
Si (0.292, 0.001, 0.608) x1
Si (0.336, 0.042, 0.275) x1
Si (0.344, 0.605, 0.776) x1
Si (0.628, 0.323, 0.276) x1
Si (0.636, 0.037, 0.778) x1
Si (0.673, 0.377, 0.941) x1
Si (0.720, 0.989, 0.108) x1
S (0.011, 0.285, 0.110) x1
S (0.013, 0.696, 0.609) x1
S (0.303, 0.699, 0.110) x1
S (0.404, 0.646, 0.441) x1
S (0.404, 0.941, 0.941) x1
S (0.667, 0.941, 0.441) x1
S (0.715, 0.285, 0.609) x1
S (0.960, 0.385, 0.441) x1
S (0.963, 0.646, 0.940) x1
O (0.037, 0.158, 0.765) x1
O (0.040, 0.767, 0.556) x1
O (0.043, 0.796, 0.265) x1
O (0.051, 0.183, 0.058) x1
O (0.129, 0.483, 0.936) x1
O (0.134, 0.372, 0.434) x1
O (0.147, 0.486, 0.220) x1
O (0.150, 0.353, 0.721) x1
O (0.157, 0.317, 0.123) x1
O (0.157, 0.522, 0.620) x1
O (0.172, 0.795, 0.765) x1
O (0.174, 0.018, 0.261) x1
O (0.183, 0.516, 0.334) x1
O (0.184, 0.289, 0.835) x1
O (0.196, 0.030, 0.549) x1
O (0.201, 0.964, 0.665) x1
O (0.205, 0.766, 0.058) x1
O (0.222, 0.811, 0.162) x1
O (0.235, 0.795, 0.445) x1
O (0.238, 0.954, 0.947) x1
O (0.310, 0.163, 0.334) x1
O (0.310, 0.517, 0.832) x1
O (0.330, 0.524, 0.122) x1
O (0.336, 0.152, 0.624) x1
O (0.373, 0.490, 0.718) x1
O (0.376, 0.132, 0.222) x1
O (0.392, 0.112, 0.936) x1
O (0.396, 0.485, 0.435) x1
O (0.481, 0.680, 0.104) x1
O (0.491, 0.371, 0.933) x1
O (0.493, 0.838, 0.889) x1
O (0.494, 0.666, 0.390) x1
O (0.494, 0.820, 0.597) x1
O (0.505, 0.361, 0.221) x1
O (0.505, 0.638, 0.785) x1
O (0.506, 0.854, 0.291) x1
O (0.507, 0.111, 0.435) x1
O (0.509, 0.130, 0.722) x1
O (0.511, 0.625, 0.494) x1
O (0.512, 0.859, 0.995) x1
O (0.527, 0.151, 0.126) x1
O (0.538, 0.291, 0.334) x1
O (0.538, 0.322, 0.620) x1
O (0.544, 0.165, 0.834) x1
O (0.646, 0.503, 0.999) x1
O (0.647, 0.855, 0.495) x1
O (0.651, 0.491, 0.290) x1
O (0.654, 0.853, 0.790) x1
O (0.678, 0.493, 0.886) x1
O (0.685, 0.834, 0.390) x1
O (0.697, 0.818, 0.098) x1
O (0.700, 0.463, 0.598) x1
O (0.781, 0.186, 0.556) x1
O (0.788, 0.036, 0.053) x1
O (0.818, 0.159, 0.265) x1
O (0.818, 0.959, 0.446) x1
O (0.819, 0.020, 0.758) x1
O (0.827, 0.211, 0.660) x1
O (0.840, 0.199, 0.941) x1
O (0.846, 0.962, 0.166) x1
O (0.852, 0.675, 0.599) x1
O (0.853, 0.461, 0.102) x1
O (0.853, 0.478, 0.389) x1
O (0.854, 0.670, 0.889) x1
O (0.871, 0.636, 0.290) x1
O (0.873, 0.492, 0.786) x1
O (0.874, 0.629, 0.994) x1
O (0.879, 0.489, 0.494) x1
O (0.972, 0.809, 0.660) x1
O (0.975, 0.218, 0.443) x1
O (0.979, 0.204, 0.162) x1
O (0.987, 0.793, 0.946) x1

---

[3]
Compound: Tb6IrI10
Source: the Materials Project
Functional: PBE-GGA
Structure: relaxed

Calculated values
DFT total energy: -73.7 eV/cell
energy of formation: -1.51 eV/atom

abc: 7.760 9.716 9.739
angles: 107.53 104.94 97.13
Space group P-1 (No. 2)
Symmetry-distinct sites (fractional):
Tb (0.027, 0.413, 0.213) x2
Tb (0.113, 0.259, 0.539) x2
Tb (0.353, 0.668, 0.628) x2
Ir (0.000, 0.500, 0.500) x1
I (0.086, 0.319, 0.872) x2
I (0.212, 0.147, 0.236) x2
I (0.264, 0.964, 0.589) x2
I (0.359, 0.775, 0.958) x2
I (0.453, 0.592, 0.315) x2

---

The highest DFT total energy belongs to which entry? Tb6IrI10

---

Look up the DFT total energy of the first one. -174.8 eV/cell